# 1
# Dy2Zr8O19 | Materials Project | GGA-PBE | relaxed
data_Dy2Zr8O19
_symmetry_space_group_name_H-M 'P -4 m 2'
_symmetry_Int_Tables_number 115
_cell_length_a 3.6436
_cell_length_b 3.6436
_cell_length_c 25.7381
_cell_angle_alpha 90.00
_cell_angle_beta 90.00
_cell_angle_gamma 90.00
loop_
_symmetry_equiv_pos_as_xyz
'x,y,z'
'y,-x,-z'
'-x,-y,z'
'-y,x,-z'
'-x,y,z'
'-y,-x,-z'
'x,-y,z'
'y,x,-z'
loop_
_atom_site_label
_atom_site_type_symbol
_atom_site_fract_x
_atom_site_fract_y
_atom_site_fract_z
Dy1 Dy 0.0000 0.5000 0.0564
Zr1 Zr 0.0000 0.5000 0.2520
Zr2 Zr 0.0000 0.5000 0.4503
Zr3 Zr 0.0000 0.5000 0.6489
Zr4 Zr 0.0000 0.5000 0.8472
O1 O 0.0000 0.0000 0.0000
O2 O 0.0000 0.0000 0.1090
O3 O 0.0000 0.0000 0.2074
O4 O 0.0000 0.0000 0.3054
O5 O 0.0000 0.0000 0.4028
O6 O 0.0000 0.0000 0.5000
O7 O 0.5000 0.5000 0.0975
O8 O 0.5000 0.5000 0.1970
O9 O 0.5000 0.5000 0.2973
O10 O 0.5000 0.5000 0.3982
O11 O 0.5000 0.5000 0.5000
# total moment	0.00	μB per formula unit
# calculated formation energy	-3749	meV per atom
# final energy	-9.22	eV per atom

=====

# 2
# DyYC4 | Materials Project | GGA-PBE | relaxed
data_DyYC4
_symmetry_space_group_name_H-M 'C m m m'
_symmetry_Int_Tables_number 65
_symmetry_space_group_name_Hall '-C 2 2'
_cell_length_a 5.1900
_cell_length_b 6.2154
_cell_length_c 5.1989
_cell_angle_alpha 90.00
_cell_angle_beta 90.00
_cell_angle_gamma 90.00
loop_
_atom_site_label
_atom_site_type_symbol
_atom_site_fract_x
_atom_site_fract_y
_atom_site_fract_z
Dy1 Dy 0.0000 0.0000 0.0000
Y1 Y 0.0000 0.5000 0.5000
C1 C 0.0000 0.1048 0.5000
C2 C 0.0000 0.3951 0.0000
# total moment	0.00	μB per formula unit
# calculated formation energy	-189	meV per atom
# final energy	-8.19	eV per atom

=====

# 3
# Mg149Sc | Materials Project | GGA-PBE | relaxed
data_Mg149Sc
_symmetry_space_group_name_H-M 'P -6 m 2'
_symmetry_Int_Tables_number 187
_symmetry_space_group_name_Hall 'P -6 2'
_cell_length_a 15.9440
_cell_length_b 15.9440
_cell_length_c 15.5874
_cell_angle_alpha 90.00
_cell_angle_beta 90.00
_cell_angle_gamma 120.00
loop_
_atom_site_label
_atom_site_type_symbol
_atom_site_fract_x
_atom_site_fract_y
_atom_site_fract_z
Mg1 Mg 0.0000 0.0000 0.0000
Mg2 Mg 0.0000 0.0000 0.3338
Mg3 Mg 0.0003 0.1998 0.0000
Mg4 Mg 0.0004 0.2007 0.3335
Mg5 Mg 0.0002 0.4001 0.0000
Mg6 Mg 0.1334 0.0667 0.1670
Mg7 Mg 0.1330 0.2660 0.5000
Mg8 Mg 0.1335 0.2670 0.1668
Mg9 Mg 0.1333 0.4668 0.1672
Mg10 Mg 0.1327 0.4675 0.5000
Mg11 Mg 0.1336 0.0668 0.5000
Mg12 Mg 0.2000 0.4001 0.0000
Mg13 Mg 0.1999 0.6000 0.0000
Mg14 Mg 0.2001 0.6000 0.3334
Mg15 Mg 0.2007 0.4014 0.3346
Mg16 Mg 0.3333 0.0660 0.5000
Mg17 Mg 0.3333 0.0667 0.1666
Mg18 Mg 0.3333 0.6667 0.1658
Mg19 Mg 0.3993 0.1997 0.0000
Mg20 Mg 0.3999 0.2000 0.3332
Mg21 Mg 0.4008 0.0010 0.3330
Mg22 Mg 0.5335 0.0670 0.1662
Mg23 Mg 0.5332 0.2666 0.1664
Mg24 Mg 0.5334 0.2667 0.5000
Mg25 Mg 0.5340 0.0680 0.5000
Mg26 Mg 0.6000 0.1999 0.0000
Mg27 Mg 0.6002 0.2005 0.3330
Sc1 Sc 0.3333 0.6667 0.5000
# total moment	0.44	μB per formula unit
# calculated formation energy	-26	meV per atom
# final energy	-1.66	eV per atom